VASP calculation (GGA-PBE) on a geometry-optimized Nd2Zn17 structure.

CIF file:
```
data_Nd2Zn17
_cell_length_a 6.858
_cell_length_b 6.858
_cell_length_c 6.858
_cell_angle_alpha 82.65
_cell_angle_beta 82.65
_cell_angle_gamma 82.65
_space_group_name_H-M_alt 'P 1'
_space_group_IT_number 1
_space_group_name_Hall 'P 1'
loop_
_atom_site_label
_atom_site_fract_x
_atom_site_fract_y
_atom_site_fract_z
Nd1 0.164 0.164 0.164
Nd2 0.836 0.836 0.836
Zn1 0.000 0.500 0.500
Zn2 0.150 0.150 0.661
Zn3 0.150 0.661 0.150
Zn4 0.207 0.500 0.793
Zn5 0.207 0.793 0.500
Zn6 0.339 0.850 0.850
Zn7 0.401 0.401 0.401
Zn8 0.500 0.000 0.500
Zn9 0.500 0.207 0.793
Zn10 0.500 0.500 0.000
Zn11 0.500 0.793 0.207
Zn12 0.599 0.599 0.599
Zn13 0.661 0.150 0.150
Zn14 0.793 0.207 0.500
Zn15 0.793 0.500 0.207
Zn16 0.850 0.339 0.850
Zn17 0.850 0.850 0.339
```

**Total DFT energy (no corrections)**: -0.06970 Ha/atom
**ρ**: 7377 kg/m3
**Formation energy from the elements**: -0.2676 eV/atom
**Space group**: R-3m (166)